# 1
## Li6MnV3P6O24 (PBE with a Hubbard U)

Data for a relaxed structure of Li6MnV3P6O24.

Lattice parameters (Å, degrees): 8.577 8.771 12.060 90.24 91.11 90.52
Sites, in units of the cell vectors:
Li (0.065, 0.487, 0.347)
Li (0.079, 0.914, 0.690)
Li (0.181, 0.220, 0.178)
Li (0.320, 0.721, 0.322)
Li (0.420, 0.413, 0.809)
Li (0.435, 0.989, 0.154)
Li (0.565, 0.014, 0.847)
Li (0.581, 0.586, 0.191)
Li (0.680, 0.278, 0.678)
Li (0.820, 0.780, 0.822)
Li (0.921, 0.086, 0.310)
Li (0.935, 0.513, 0.653)
Mn (0.747, 0.965, 0.609)
Mn (0.752, 0.029, 0.107)
V (0.244, 0.972, 0.895)
V (0.245, 0.535, 0.109)
V (0.255, 0.472, 0.605)
V (0.255, 0.034, 0.392)
V (0.745, 0.528, 0.395)
V (0.756, 0.465, 0.890)
P (0.042, 0.750, 0.490)
P (0.114, 0.617, 0.848)
P (0.114, 0.888, 0.146)
P (0.386, 0.118, 0.654)
P (0.385, 0.390, 0.353)
P (0.459, 0.252, 0.010)
P (0.542, 0.751, 0.990)
P (0.614, 0.611, 0.647)
P (0.615, 0.883, 0.351)
P (0.883, 0.110, 0.851)
P (0.885, 0.381, 0.152)
P (0.959, 0.249, 0.509)
O (0.051, 0.109, 0.895)
O (0.050, 0.128, 0.445)
O (0.055, 0.335, 0.600)
O (0.058, 0.419, 0.190)
O (0.100, 0.638, 0.582)
O (0.122, 0.794, 0.830)
O (0.139, 0.579, 0.970)
O (0.129, 0.006, 0.245)
O (0.174, 0.731, 0.187)
O (0.187, 0.821, 0.433)
O (0.230, 0.529, 0.776)
O (0.236, 0.949, 0.061)
O (0.265, 0.450, 0.438)
O (0.269, 0.028, 0.725)
O (0.314, 0.324, 0.065)
O (0.328, 0.231, 0.312)
O (0.361, 0.079, 0.531)
O (0.373, 0.507, 0.254)
O (0.374, 0.295, 0.670)
O (0.401, 0.140, 0.917)
O (0.446, 0.835, 0.900)
O (0.443, 0.921, 0.313)
O (0.447, 0.610, 0.603)
O (0.451, 0.632, 0.056)
O (0.551, 0.374, 0.946)
O (0.553, 0.390, 0.397)
O (0.556, 0.082, 0.693)
O (0.552, 0.170, 0.102)
O (0.602, 0.863, 0.084)
O (0.625, 0.706, 0.331)
O (0.628, 0.494, 0.746)
O (0.636, 0.919, 0.475)
O (0.672, 0.770, 0.689)
O (0.686, 0.678, 0.934)
O (0.731, 0.973, 0.280)
O (0.735, 0.551, 0.562)
O (0.762, 0.048, 0.934)
O (0.770, 0.469, 0.224)
O (0.813, 0.178, 0.565)
O (0.829, 0.270, 0.811)
O (0.872, 0.993, 0.750)
O (0.861, 0.420, 0.030)
O (0.877, 0.202, 0.167)
O (0.902, 0.361, 0.418)
O (0.941, 0.577, 0.810)
O (0.945, 0.664, 0.399)
O (0.953, 0.871, 0.554)
O (0.948, 0.885, 0.101)

Computed properties:
**DFT formation energy**: -107.3 eV/f.u.
**Polymorph energy (0 for the lowest one)**: 0.19 eV per formula unit

***

# 2
## Li3MnVP3O12 (PBE with a Hubbard U)

Data for a relaxed structure of Li3MnVP3O12.

Lattice parameters (Å, degrees): 8.656 8.674 15.125 89.41 105.53 118.73
Sites, in units of the cell vectors:
Li (0.755, 0.702, 0.316)
Li (0.710, 0.815, 0.552)
Li (0.717, 0.311, 0.052)
Li (0.251, 0.827, 0.185)
Li (0.680, 0.788, 0.831)
Li (0.679, 0.291, 0.328)
Li (0.223, 0.742, 0.634)
Li (0.216, 0.228, 0.133)
Li (0.744, 0.181, 0.817)
Li (0.250, 0.320, 0.690)
Li (0.181, 0.642, 0.979)
Li (0.176, 0.134, 0.480)
Mn (0.859, 0.715, 0.074)
Mn (0.356, 0.969, 0.820)
Mn (0.856, 0.218, 0.572)
Mn (0.137, 0.775, 0.424)
V (0.644, 0.531, 0.682)
V (0.354, 0.467, 0.320)
V (0.639, 0.024, 0.180)
V (0.140, 0.286, 0.923)
P (0.950, 0.992, 0.734)
P (0.949, 0.485, 0.233)
P (0.256, 0.979, 0.022)
P (0.532, 0.897, 0.375)
P (0.454, 0.595, 0.123)
P (0.754, 0.523, 0.476)
P (0.255, 0.480, 0.525)
P (0.539, 0.397, 0.876)
P (0.457, 0.101, 0.627)
P (0.759, 0.021, 0.979)
P (0.045, 0.519, 0.764)
P (0.041, 0.011, 0.265)
O (0.840, 0.972, 0.241)
O (0.918, 0.540, 0.134)
O (0.924, 0.592, 0.304)
O (0.671, 0.983, 0.471)
O (0.920, 0.704, 0.469)
O (0.649, 0.644, 0.124)
O (0.442, 0.763, 0.146)
O (0.542, 0.730, 0.349)
O (0.792, 0.799, 0.727)
O (0.792, 0.290, 0.223)
O (0.103, 0.795, 0.037)
O (0.331, 0.845, 0.370)
O (0.061, 0.900, 0.194)
O (0.296, 0.994, 0.539)
O (0.813, 0.873, 0.996)
O (0.698, 0.571, 0.555)
O (0.300, 0.494, 0.031)
O (0.427, 0.978, 0.706)
O (0.612, 0.951, 0.882)
O (0.806, 0.374, 0.491)
O (0.692, 0.062, 0.056)
O (0.082, 0.964, 0.366)
O (0.411, 0.469, 0.199)
O (0.601, 0.453, 0.381)
O (0.845, 0.484, 0.740)
O (0.143, 0.509, 0.261)
O (0.419, 0.559, 0.616)
O (0.418, 0.058, 0.113)
O (0.907, 0.043, 0.633)
O (0.590, 0.530, 0.804)
O (0.305, 0.928, 0.940)
O (0.194, 0.621, 0.510)
O (0.575, 0.027, 0.301)
O (0.308, 0.433, 0.443)
O (0.194, 0.119, 0.005)
O (0.938, 0.105, 0.807)
O (0.677, 0.481, 0.972)
O (0.923, 0.203, 0.975)
O (0.650, 0.150, 0.624)
O (0.187, 0.714, 0.762)
O (0.181, 0.206, 0.263)
O (0.447, 0.269, 0.651)
O (0.547, 0.226, 0.851)
O (0.100, 0.295, 0.538)
O (0.339, 0.345, 0.868)
O (0.063, 0.406, 0.694)
O (0.087, 0.474, 0.865)
O (0.142, 0.016, 0.754)

Computed properties:
**DFT formation energy**: -52.4 eV/f.u.
**Polymorph energy (0 for the lowest one)**: 0.74 eV per formula unit

***

# 3
## Li3MnVP3O12 (PBE with a Hubbard U)

Data for a relaxed structure of Li3MnVP3O12.

Lattice parameters (Å, degrees): 10.283 10.283 10.283 109.47 109.47 109.47
Sites, in units of the cell vectors:
Li (0.250, 0.872, 0.622)
Li (0.122, 0.250, 0.372)
Li (0.128, 0.378, 0.750)
Li (0.622, 0.250, 0.872)
Li (0.372, 0.122, 0.250)
Li (0.250, 0.372, 0.122)
Li (0.750, 0.628, 0.878)
Li (0.628, 0.878, 0.750)
Li (0.378, 0.750, 0.128)
Li (0.872, 0.622, 0.250)
Li (0.878, 0.750, 0.628)
Li (0.750, 0.128, 0.378)
Mn (0.000, 0.500, 0.500)
Mn (0.000, 0.000, 0.000)
Mn (0.500, 0.500, 0.000)
Mn (0.500, 0.000, 0.500)
V (0.000, 0.000, 0.500)
V (0.000, 0.500, 0.000)
V (0.500, 0.000, 0.000)
V (0.500, 0.500, 0.500)
P (0.124, 0.874, 0.250)
P (0.126, 0.750, 0.876)
P (0.374, 0.250, 0.624)
P (0.250, 0.124, 0.874)
P (0.250, 0.624, 0.374)
P (0.376, 0.626, 0.750)
P (0.624, 0.374, 0.250)
P (0.750, 0.876, 0.126)
P (0.750, 0.376, 0.626)
P (0.626, 0.750, 0.376)
P (0.874, 0.250, 0.124)
P (0.876, 0.126, 0.750)
O (0.109, 0.614, 0.400)
O (0.114, 0.004, 0.214)
O (0.004, 0.214, 0.114)
O (0.083, 0.880, 0.388)
O (0.100, 0.714, 0.710)
O (0.112, 0.992, 0.695)
O (0.195, 0.203, 0.583)
O (0.400, 0.109, 0.614)
O (0.380, 0.297, 0.492)
O (0.297, 0.492, 0.380)
O (0.305, 0.888, 0.008)
O (0.008, 0.305, 0.888)
O (0.210, 0.496, 0.609)
O (0.214, 0.114, 0.004)
O (0.388, 0.083, 0.880)
O (0.286, 0.290, 0.900)
O (0.290, 0.900, 0.286)
O (0.120, 0.612, 0.917)
O (0.504, 0.391, 0.790)
O (0.391, 0.790, 0.504)
O (0.508, 0.620, 0.703)
O (0.386, 0.600, 0.891)
O (0.583, 0.195, 0.203)
O (0.203, 0.583, 0.195)
O (0.797, 0.417, 0.805)
O (0.417, 0.805, 0.797)
O (0.614, 0.400, 0.109)
O (0.492, 0.380, 0.297)
O (0.609, 0.210, 0.496)
O (0.496, 0.609, 0.210)
O (0.880, 0.388, 0.083)
O (0.710, 0.100, 0.714)
O (0.714, 0.710, 0.100)
O (0.612, 0.917, 0.120)
O (0.786, 0.886, 0.996)
O (0.790, 0.504, 0.391)
O (0.992, 0.695, 0.112)
O (0.695, 0.112, 0.992)
O (0.703, 0.508, 0.620)
O (0.620, 0.703, 0.508)
O (0.600, 0.891, 0.386)
O (0.805, 0.797, 0.417)
O (0.888, 0.008, 0.305)
O (0.900, 0.286, 0.290)
O (0.917, 0.120, 0.612)
O (0.996, 0.786, 0.886)
O (0.886, 0.996, 0.786)
O (0.891, 0.386, 0.600)

Computed properties:
**DFT formation energy**: -51.7 eV/f.u.
**Polymorph energy (0 for the lowest one)**: 1.42 eV per formula unit

***

# 4
## Li6MnV3P6O24 (PBE with a Hubbard U)

Data for a relaxed structure of Li6MnV3P6O24.

Lattice parameters (Å, degrees): 9.881 9.896 9.902 86.96 87.68 87.11
Sites, in units of the cell vectors:
Li (0.948, 0.998, 0.024)
Li (0.264, 0.933, 0.862)
Li (0.902, 0.872, 0.263)
Li (0.431, 0.769, 0.363)
Li (0.135, 0.738, 0.071)
Li (0.229, 0.631, 0.582)
Li (0.637, 0.572, 0.241)
Li (0.480, 0.509, 0.552)
Li (0.772, 0.351, 0.436)
Li (0.556, 0.236, 0.628)
Li (0.867, 0.266, 0.944)
Li (0.066, 0.141, 0.732)
Mn (0.744, 0.974, 0.519)
Mn (0.243, 0.026, 0.470)
V (0.750, 0.752, 0.745)
V (0.535, 0.751, 0.963)
V (0.973, 0.532, 0.755)
V (0.041, 0.466, 0.253)
V (0.469, 0.250, 0.031)
V (0.253, 0.249, 0.252)
P (0.330, 0.949, 0.143)
P (0.046, 0.854, 0.670)
P (0.448, 0.824, 0.646)
P (0.854, 0.674, 0.048)
P (0.833, 0.638, 0.452)
P (0.355, 0.552, 0.170)
P (0.651, 0.452, 0.820)
P (0.181, 0.355, 0.552)
P (0.154, 0.330, 0.953)
P (0.546, 0.166, 0.343)
P (0.955, 0.150, 0.327)
P (0.675, 0.049, 0.852)
O (0.382, 0.963, 0.594)
O (0.099, 0.945, 0.775)
O (0.670, 0.888, 0.878)
O (0.888, 0.879, 0.671)
O (0.308, 0.911, 0.295)
O (0.109, 0.889, 0.527)
O (0.216, 0.910, 0.054)
O (0.467, 0.884, 0.094)
O (0.606, 0.825, 0.621)
O (0.411, 0.810, 0.800)
O (0.807, 0.788, 0.412)
O (0.934, 0.795, 0.090)
O (0.878, 0.670, 0.888)
O (0.401, 0.710, 0.562)
O (0.083, 0.699, 0.701)
O (0.700, 0.687, 0.085)
O (0.835, 0.619, 0.614)
O (0.622, 0.612, 0.828)
O (0.974, 0.589, 0.393)
O (0.401, 0.618, 0.033)
O (0.440, 0.596, 0.284)
O (0.723, 0.547, 0.409)
O (0.199, 0.588, 0.191)
O (0.911, 0.540, 0.113)
O (0.115, 0.470, 0.890)
O (0.808, 0.421, 0.824)
O (0.590, 0.409, 0.692)
O (0.296, 0.441, 0.588)
O (0.588, 0.384, 0.952)
O (0.043, 0.408, 0.617)
O (0.377, 0.392, 0.164)
O (0.173, 0.377, 0.390)
O (0.922, 0.306, 0.299)
O (0.311, 0.297, 0.928)
O (0.602, 0.271, 0.431)
O (0.126, 0.330, 0.113)
O (0.067, 0.220, 0.904)
O (0.569, 0.208, 0.187)
O (0.196, 0.202, 0.590)
O (0.388, 0.170, 0.378)
O (0.542, 0.110, 0.922)
O (0.802, 0.093, 0.918)
O (0.890, 0.114, 0.466)
O (0.668, 0.087, 0.700)
O (0.117, 0.122, 0.336)
O (0.915, 0.064, 0.213)
O (0.336, 0.111, 0.123)
O (0.605, 0.023, 0.369)

Computed properties:
**DFT formation energy**: -105.9 eV/f.u.
**Polymorph energy (0 for the lowest one)**: 1.55 eV per formula unit

***

# 5
## LiMnVP4O14 (PBE with a Hubbard U)

Data for a relaxed structure of LiMnVP4O14.

Lattice parameters (Å, degrees): 8.151 9.975 13.664 109.05 91.71 90.45
Sites, in units of the cell vectors:
Li (0.137, 0.871, 0.457)
Li (0.137, 0.122, 0.207)
Li (0.642, 0.879, 0.792)
Li (0.137, 0.372, 0.956)
Mn (0.992, 0.671, 0.062)
Mn (0.993, 0.421, 0.314)
Mn (0.007, 0.913, 0.808)
Mn (0.994, 0.172, 0.563)
V (0.505, 0.838, 0.441)
V (0.505, 0.090, 0.193)
V (0.495, 0.583, 0.690)
V (0.506, 0.340, 0.942)
P (0.219, 0.900, 0.010)
P (0.713, 0.846, 0.239)
P (0.824, 0.388, 0.091)
P (0.218, 0.650, 0.259)
P (0.321, 0.357, 0.158)
P (0.822, 0.887, 0.590)
P (0.711, 0.596, 0.490)
P (0.318, 0.858, 0.658)
P (0.824, 0.138, 0.341)
P (0.218, 0.401, 0.509)
P (0.321, 0.107, 0.409)
P (0.825, 0.641, 0.841)
P (0.713, 0.347, 0.739)
P (0.322, 0.607, 0.908)
P (0.219, 0.150, 0.759)
P (0.711, 0.098, 0.991)
O (0.067, 0.859, 0.057)
O (0.560, 0.903, 0.196)
O (0.850, 0.973, 0.275)
O (0.798, 0.724, 0.166)
O (0.174, 0.693, 0.164)
O (0.962, 0.462, 0.053)
O (0.653, 0.425, 0.058)
O (0.329, 0.350, 0.044)
O (0.664, 0.816, 0.338)
O (0.313, 0.771, 0.341)
O (0.851, 0.222, 0.025)
O (0.347, 0.522, 0.226)
O (0.067, 0.608, 0.307)
O (0.827, 0.405, 0.205)
O (0.962, 0.964, 0.556)
O (0.652, 0.926, 0.558)
O (0.156, 0.307, 0.183)
O (0.465, 0.281, 0.190)
O (0.330, 0.850, 0.543)
O (0.561, 0.653, 0.446)
O (0.666, 0.066, 0.090)
O (0.849, 0.723, 0.526)
O (0.314, 0.021, 0.092)
O (0.797, 0.474, 0.417)
O (0.823, 0.905, 0.706)
O (0.173, 0.444, 0.414)
O (0.962, 0.213, 0.304)
O (0.152, 0.813, 0.680)
O (0.652, 0.176, 0.308)
O (0.463, 0.787, 0.694)
O (0.328, 0.100, 0.294)
O (0.659, 0.568, 0.590)
O (0.320, 0.520, 0.586)
O (0.788, 0.974, 0.912)
O (0.347, 0.272, 0.476)
O (0.179, 0.946, 0.915)
O (0.067, 0.356, 0.555)
O (0.827, 0.156, 0.456)
O (0.962, 0.720, 0.809)
O (0.655, 0.681, 0.806)
O (0.155, 0.056, 0.433)
O (0.465, 0.030, 0.440)
O (0.338, 0.599, 0.794)
O (0.559, 0.398, 0.694)
O (0.848, 0.476, 0.775)
O (0.348, 0.772, 0.976)
O (0.800, 0.224, 0.667)
O (0.825, 0.654, 0.955)
O (0.174, 0.192, 0.664)
O (0.156, 0.557, 0.932)
O (0.465, 0.532, 0.942)
O (0.663, 0.316, 0.839)
O (0.311, 0.272, 0.842)
O (0.351, 0.025, 0.727)
O (0.068, 0.103, 0.806)
O (0.558, 0.152, 0.946)

Computed properties:
**DFT formation energy**: -54.4 eV/f.u.
**Polymorph energy (0 for the lowest one)**: 0.09 eV per formula unit

***

Here are the calculated total DFT energy (no corrections) numbers, same order: -566.19, -561.39, -558.66, -563.48, -610.02 (eV per cell).